An optimized crystal structure of AlBP2H5NO9, computed with PBE.

Cell: 9.3949 8.4848 9.5539 Å, 90.00 104.67 90.00°
Last column: nearest neighbours and their distance in Å.
Space group P2_1/c (No. 14)
One atom of each set of equivalent atoms:
Al  0.2032  0.1547  0.4334  6 O 1.86-1.99
B  0.3353  0.5514  0.1968  4 O 1.47-1.50
P  0.0728  0.0645  0.7040  4 O 1.54-1.58
P  0.4136  0.2373  0.2263  4 O 1.52-1.58
H  0.0987  0.6849  0.5163  1 N 1.03
H  0.1435  0.5547  0.6550  1 N 1.05
H  0.1853  0.5126  0.4961  1 N 1.03
H  0.2760  0.6566  0.6060  1 N 1.03
H  0.3858  0.5655  0.9963  1 O 0.97
N  0.1758  0.6021  0.5664  4 H 1.03-1.05
O  0.0765  0.0143  0.3043  1 P 1.54
O  0.0774  0.1561  0.5660  1 P 1.54
O  0.1077  0.1674  0.8410  1 P 1.54
O  0.1920  0.5717  0.2295  1 B 1.47, 1 P 1.58
O  0.3044  0.5336  0.0360  1 H 0.97
O  0.3421  0.2177  0.0655  1 P 1.52
O  0.3429  0.1338  0.3207  1 P 1.53
O  0.4175  0.0850  0.7725  1 B 1.47, 1 P 1.57
O  0.4171  0.6980  0.2410  1 B 1.47, 1 P 1.58

Results
* DFT formation energy: -2.1691 eV per atom
* magnetization: 0.0 μB/cell
* total energy after the MP2020 corrections: -0.512 Ry per atom
* crystal system: monoclinic